# 1
Density functional theory data (PBE) for a relaxed CsCSN crystal.

The volume is 27.84 A^3/atom. The formation energy comes out at -670.2 meV/atom. As for the crystal system: orthorhombic.

The space group is Pnma (No. 62) and the conventional cell measures 8.129, 6.440 and 8.510 Å, with angles of 90.00, 90.00 and 90.00 degrees. Symmetry generates all atoms from Cs at (0.181, 0.250, 0.105), C at (0.173, 0.250, 0.559), S at (0.024, 0.250, 0.687) and N at (0.215, 0.750, 0.968).

=====

# 2
Density functional theory data (PBE) for a relaxed CsNaC2 crystal.

The volume is 24.49 A^3/atom. The formation energy comes out at 267.6 meV/atom. As for the crystal system: orthorhombic.

The space group is Pbcm (No. 57) and the conventional cell measures 8.433, 6.962 and 6.675 Å, with angles of 90.00, 90.00 and 90.00 degrees. Symmetry generates all atoms from Cs at (0.157, 0.034, 0.250), Na at (0.469, 0.750, 0.000), C at (0.251, 0.558, 0.250) and C at (0.378, 0.041, 0.750).

=====

- Among the records above, which one has the lowest formation energy?
  CsCSN

=====

- The lowest volume belongs to which entry?
  CsNaC2